Entry 1:
Dy6Mn23: relaxed, GGA-PBE.

Unit cell a=8.480 b=8.480 c=8.480 alpha=60.00 beta=60.00 gamma=60.00
Fractional coordinates of all 29 atoms:
Mn 0.678 0.967 0.678
Dy 0.296 0.704 0.296
Dy 0.296 0.296 0.704
Mn 0.678 0.678 0.967
Mn 0.000 0.000 0.500
Mn 0.033 0.322 0.322
Mn 0.500 0.000 0.000
Mn 0.000 0.500 0.000
Mn 0.322 0.033 0.322
Mn 0.878 0.366 0.878
Mn 0.000 0.500 0.500
Mn 0.878 0.878 0.878
Mn 0.322 0.322 0.033
Mn 0.000 0.000 0.000
Mn 0.678 0.678 0.678
Mn 0.500 0.000 0.500
Dy 0.704 0.704 0.296
Mn 0.500 0.500 0.000
Dy 0.296 0.704 0.704
Mn 0.634 0.122 0.122
Mn 0.122 0.122 0.634
Dy 0.704 0.296 0.296
Mn 0.122 0.122 0.122
Mn 0.366 0.878 0.878
Mn 0.878 0.878 0.366
Mn 0.967 0.678 0.678
Mn 0.322 0.322 0.322
Mn 0.122 0.634 0.122
Dy 0.704 0.296 0.704

Symmetry   Fm-3m
Size of the total moment   14.3 Bohr magnetons per cell
E_form   0.02 eV/atom
Volume   431.3 Å³/f.u.



Entry 2:
Dy2Mn12P7: relaxed, GGA-PBE.

Unit cell a=9.303 b=9.303 c=3.602 alpha=90.00 beta=90.00 gamma=120.00
Fractional coordinates of all 21 atoms:
Mn 0.123 0.896 0.500
Mn 0.436 0.391 0.500
Mn 0.609 0.045 0.500
Mn 0.376 0.951 0.000
P 0.291 0.411 0.000
P 0.589 0.881 0.000
Mn 0.277 0.156 0.000
Dy 0.333 0.667 0.500
P 0.119 0.709 0.000
Mn 0.575 0.624 0.000
P 0.874 0.282 0.500
P 0.408 0.126 0.500
Mn 0.773 0.877 0.500
Mn 0.955 0.564 0.500
Mn 0.879 0.723 0.000
Mn 0.049 0.425 0.000
Dy 0.667 0.333 0.000
Mn 0.844 0.121 0.000
P 0.718 0.592 0.500
Mn 0.104 0.227 0.500
P 0.000 0.000 0.000

Symmetry   P-6
Size of the total moment   16.0 Bohr magnetons per cell
E_form   -0.71 eV/atom
Volume   270.0 Å³/f.u.



Q: Which value of volume does entry 1 give?
A: 431.3 Å³/f.u.



Q: Which of these has the highest volume?
A: Dy6Mn23



Q: What is the formula in the first record?
A: Dy6Mn23



Q: Which formula does entry 2 have?
A: Dy2Mn12P7